i | # C GGA-PBE relaxed
data_C
_symmetry_space_group_name_H-M 'P m m m'
_symmetry_Int_Tables_number 47
_symmetry_space_group_name_Hall '-P 2 2'
_cell_length_a 2.606
_cell_length_b 3.425
_cell_length_c 5.232
_cell_angle_alpha 90.00
_cell_angle_beta 90.00
_cell_angle_gamma 90.00
loop_
_atom_site_label
_atom_site_fract_x
_atom_site_fract_y
_atom_site_fract_z
C1 0.000 0.000 0.128
C2 0.500 0.000 0.283
C3 0.500 0.306 0.500
# Crystal system   orthorhombic
# Theoretical density   2.6 Mg/m³

***

ii | # C GGA-PBE relaxed
data_C
_symmetry_space_group_name_H-M 'P n n m'
_symmetry_Int_Tables_number 58
_symmetry_space_group_name_Hall '-P 2 2n'
_cell_length_a 8.321
_cell_length_b 14.076
_cell_length_c 9.597
_cell_angle_alpha 90.00
_cell_angle_beta 90.00
_cell_angle_gamma 90.00
loop_
_atom_site_label
_atom_site_fract_x
_atom_site_fract_y
_atom_site_fract_z
C1 0.007 0.163 0.156
C2 0.063 0.749 0.375
C3 0.078 0.912 0.070
C4 0.095 0.252 0.421
C5 0.127 0.785 0.237
C6 0.143 0.470 0.074
C7 0.153 0.145 0.216
C8 0.161 0.755 0.500
C9 0.182 0.551 0.148
C10 0.185 0.379 0.120
C11 0.188 0.956 0.175
C12 0.193 0.638 0.072
C13 0.216 0.320 0.000
C14 0.226 0.875 0.260
C15 0.229 0.049 0.224
C16 0.230 0.210 0.335
# Crystal system   orthorhombic
# Theoretical density   2.1 Mg/m³

***

ii comes first in stability; the runner-up is 112 meV per atom higher.